No. 1
A geometry-optimized CdIn2O4 structure, computed with r2SCAN.

Results
DFT formation energy, eV per atom: -1.70
Total energy, eV for the cell shown: -808.31

a = 9.2220 Å, b = 9.2220 Å, c = 9.2220 Å
α = 90.00°, β = 90.00°, γ = 90.00°
With the nearest neighbours (Å) after each atom.
Space group Fd-3m (No. 227, origin choice 2)
One atom of each set of equivalent atoms:
Cd: 0.1250 0.1250 0.1250 x8  4 O 2.21
In: 0.0000 0.0000 0.5000 x16  6 O 2.19
O: 0.0133 0.0133 0.7367 x32  3 In 2.19, 1 Cd 2.21

No. 2
A geometry-optimized PrCdIn structure, computed with r2SCAN.

Results
DFT formation energy, eV per atom: -0.56
Total energy, eV for the cell shown: -147.53

a = 4.9231 Å, b = 4.9231 Å, c = 7.8419 Å
α = 90.00°, β = 90.00°, γ = 120.00°
With the nearest neighbours (Å) after each atom.
Space group P-3m1 (No. 164)
One atom of each set of equivalent atoms:
Pr: 0.0000 0.0000 0.2379 x2  3 In 3.28, 6 Cd 3.29-3.52
Cd: 0.3333 0.6667 0.9730 x2  3 Cd 2.87
In: 0.3333 0.6667 0.5524 x2  3 In 2.96, 3 Pr 3.28, 1 Cd 3.30

No. 3
A geometry-optimized CdInRh2 structure, computed with r2SCAN.

Results
DFT formation energy, eV per atom: -0.36
Total energy, eV for the cell shown: -369.64

a = 6.4041 Å, b = 6.4041 Å, c = 6.4041 Å
α = 90.00°, β = 90.00°, γ = 90.00°
With the nearest neighbours (Å) after each atom.
Space group Fm-3m (No. 225)
One atom of each set of equivalent atoms:
Cd: 0.0000 0.0000 0.0000 x4  8 Rh 2.77
In: 0.0000 0.0000 0.5000 x4  8 Rh 2.77
Rh: 0.2500 0.2500 0.2500 x8  4 Cd 2.77, 4 In 2.77

No. 4
A geometry-optimized Sc2CdIn structure, computed with r2SCAN.

Results
DFT formation energy, eV per atom: -0.44
Total energy, eV for the cell shown: -269.00

a = 7.0736 Å, b = 7.0736 Å, c = 7.0736 Å
α = 90.00°, β = 90.00°, γ = 90.00°
With the nearest neighbours (Å) after each atom.
Space group Fm-3m (No. 225)
One atom of each set of equivalent atoms:
Sc: 0.2500 0.2500 0.2500 x8  4 Cd 3.06, 4 In 3.06
Cd: 0.0000 0.0000 0.0000 x4  8 Sc 3.06
In: 0.0000 0.0000 0.5000 x4  8 Sc 3.06